(1)
MgTiV2CrO10 | PBE with a Hubbard U | relaxed

Calculated values
- formation energy (meV/atom) = -2520
- crystal system = triclinic
- final energy (eV/atom) = -7.488
- M_tot (μB per formula unit) = 2.000
- energy above the lowest structure with this stoichiometry (eV per atom) = 0.000

a b c (Å): 4.938 6.610 6.615
angles (deg): 91.46 94.23 94.10
Sites, in units of the cell vectors:
Mg1 0.000 0.000 0.000
Ti1 0.499 0.253 0.747
V1 0.390 0.760 0.747
V2 0.610 0.253 0.240
Cr1 0.501 0.757 0.243
O1 0.255 0.030 0.765
O2 0.257 0.767 0.032
O3 0.277 0.202 0.193
O4 0.325 0.485 0.759
O5 0.331 0.762 0.475
O6 0.671 0.525 0.238
O7 0.673 0.241 0.515
O8 0.723 0.806 0.799
O9 0.744 0.235 0.970
O10 0.745 0.969 0.233

=====

(2)
NaCaTbWO6 | PBE with a Hubbard U | relaxed

Calculated values
- formation energy (meV/atom) = -2829
- crystal system = cubic
- final energy (eV/atom) = -7.034
- M_tot (μB per formula unit) = 0.000

a b c (Å): 5.888 5.888 5.888
angles (deg): 60.00 60.00 60.00
Sites, in units of the cell vectors:
Na1 0.000 0.000 0.000
Ca1 0.500 0.500 0.500
Tb1 0.250 0.250 0.250
W1 0.750 0.750 0.750
O1 0.517 0.517 0.983
O2 0.517 0.983 0.517
O3 0.517 0.983 0.983
O4 0.983 0.517 0.517
O5 0.983 0.517 0.983
O6 0.983 0.983 0.517

=====

(3)
Li6Fe5WO12 | PBE with a Hubbard U | relaxed

Calculated values
- formation energy (meV/atom) = -1926
- crystal system = monoclinic
- final energy (eV/atom) = -6.183
- M_tot (μB per formula unit) = 24.000
- energy above the lowest structure with this stoichiometry (eV per atom) = 0.000

a b c (Å): 5.215 5.215 10.297
angles (deg): 94.40 94.40 120.42
Sites, in units of the cell vectors:
Li1 0.000 0.000 0.000
Li2 0.238 0.238 0.504
Li3 0.326 0.675 0.000
Li4 0.562 0.911 0.510
Li5 0.675 0.326 0.000
Li6 0.911 0.562 0.510
Fe1 0.118 0.118 0.253
Fe2 0.292 0.956 0.754
Fe3 0.452 0.785 0.254
Fe4 0.785 0.452 0.254
Fe5 0.956 0.292 0.754
W1 0.607 0.607 0.755
O1 0.080 0.415 0.141
O2 0.156 0.822 0.367
O3 0.271 0.586 0.632
O4 0.346 0.346 0.875
O5 0.415 0.080 0.141
O6 0.487 0.487 0.364
O7 0.586 0.271 0.632
O8 0.639 0.964 0.870
O9 0.750 0.750 0.144
O10 0.822 0.156 0.367
O11 0.902 0.902 0.647
O12 0.964 0.639 0.870

=====

> Among the records above, which one has the highest formation energy?

Li6Fe5WO12